BSb, optimized geometry, DFT GGA-PBE; theoretical density = 6.0 g cm⁻³; raw total energy = -10.07 eV per cell; total energy after the MP2020 corrections = -10.260 eV per cell; calculated formation energy = 0.274 eV per atom; total magnetic moment = 0.000 μB/cell
1.0
0.000 2.641 2.641
2.641 0.000 2.641
2.641 2.641 0.000
B Sb
1 1
direct
0.000 0.000 0.000
0.750 0.750 0.750